The following is a DFT calculation (GGA+U) of an optimized crystal structure of Li4Co3O3F4.

Lattice parameters (Å, degrees): 15.137 15.137 15.137 168.81 168.81 15.86
Sites, in units of the cell vectors:
Li 0.148 0.148 0.000
Li 0.283 0.283 0.000
Li 0.717 0.717 0.000
Li 0.852 0.852 0.000
Co 0.000 0.000 0.000
Co 0.426 0.426 0.000
Co 0.574 0.574 0.000
O 0.075 0.075 0.000
O 0.500 0.500 0.000
O 0.925 0.925 0.000
F 0.216 0.216 0.000
F 0.351 0.351 0.000
F 0.649 0.649 0.000
F 0.784 0.784 0.000

Electronic total energy in eV per cell: -74.49
Magnetic moment in μB per formula unit: 9.01
Energy of formation from the pure elements in eV/atom: -2.275